# 1
! TbThRe4 | the Materials Project database | PBE-GGA | relaxed; values from VASP
&SYSTEM
  ibrav = 0, nat = 12, ntyp = 3
/
ATOMIC_SPECIES
Re 186.21 Re.upf
Tb 158.93 Tb.upf
Th 232.04 Th.upf
CELL_PARAMETERS angstrom
2.7139 -4.7006 0.0000
2.7139 4.7006 0.0000
0.0000 0.0000 9.1635
ATOMIC_POSITIONS angstrom
Re 2.7139 -3.1015 6.8037
Re 2.7139 3.1015 2.3598
Re 1.3849 0.7996 2.3598
Re 1.3849 -0.7996 6.8037
Re 0.0000 0.0000 0.0000
Re 4.0429 0.7996 2.3598
Re 4.0429 -0.7996 6.8037
Re 0.0000 0.0000 4.5817
Tb 2.7139 1.5669 5.1485
Tb 2.7139 -1.5669 4.0150
Th 2.7139 -1.5669 0.5582
Th 2.7139 1.5669 8.6052
! **Formation enthalpy at 0 K**: -0.137 eV/atom

***

# 2
! Re3Tc | the Materials Project database | PBE-GGA | relaxed; values from VASP
&SYSTEM
  ibrav = 0, nat = 8, ntyp = 2
/
ATOMIC_SPECIES
Re 186.21 Re.upf
Tc 98.00 Tc.upf
CELL_PARAMETERS angstrom
2.7751 -4.8066 0.0000
2.7751 4.8066 0.0000
0.0000 0.0000 4.4844
ATOMIC_POSITIONS angstrom
Re 4.1676 0.7982 1.1211
Re 1.3825 -0.7982 3.3633
Re 4.1676 -0.7982 3.3633
Re 2.7751 3.2102 1.1211
Re 2.7751 -3.2102 3.3633
Re 1.3825 0.7982 1.1211
Tc 2.7751 1.6022 3.3633
Tc 2.7751 -1.6022 1.1211
! **Formation enthalpy at 0 K**: 0.001 eV/atom

***

# 3
! ReTc | the Materials Project database | PBE-GGA | relaxed; values from VASP
&SYSTEM
  ibrav = 0, nat = 2, ntyp = 2
/
ATOMIC_SPECIES
Tc 98.00 Tc.upf
Re 186.21 Re.upf
CELL_PARAMETERS angstrom
-0.3323 -0.1835 2.7432
-2.1601 -0.3996 -1.6862
0.9448 -4.3599 -0.1772
ATOMIC_POSITIONS angstrom
Tc 0.0000 0.0000 0.0000
Re -1.0784 -2.5075 -0.2983
! **Formation enthalpy at 0 K**: -0.003 eV/atom

***

# 4
! TiReTc2 | the Materials Project database | PBE-GGA | relaxed; values from VASP
&SYSTEM
  ibrav = 0, nat = 4, ntyp = 3
/
ATOMIC_SPECIES
Tc 98.00 Tc.upf
Re 186.21 Re.upf
Ti 47.87 Ti.upf
CELL_PARAMETERS angstrom
2.0461 0.4367 3.8552
-1.5162 2.8410 2.9782
-1.8980 -1.4736 3.6696
ATOMIC_POSITIONS angstrom
Tc -1.0261 1.3531 7.8772
Tc -0.3420 0.4510 2.6257
Re -0.6841 0.9020 5.2515
Ti 0.0000 0.0000 0.0000
! **Formation enthalpy at 0 K**: -0.275 eV/atom

***

# 5
! TmReTc2 | the Materials Project database | PBE-GGA | relaxed; values from VASP
&SYSTEM
  ibrav = 0, nat = 4, ntyp = 3
/
ATOMIC_SPECIES
Tm 168.93 Tm.upf
Tc 98.00 Tc.upf
Re 186.21 Re.upf
CELL_PARAMETERS angstrom
4.2327 -1.4663 -0.7235
1.4307 -3.8462 1.9362
0.7197 -3.6887 -2.5425
ATOMIC_POSITIONS angstrom
Tm 4.7874 -6.7509 -0.9974
Tc 3.1916 -4.5006 -0.6649
Tc 0.0000 0.0000 0.0000
Re 1.5958 -2.2503 -0.3325
! **Formation enthalpy at 0 K**: 0.003 eV/atom

***

# 6
! ReTe2 | the Materials Project database | PBE-GGA | relaxed; values from VASP
&SYSTEM
  ibrav = 0, nat = 12, ntyp = 2
/
ATOMIC_SPECIES
Re 186.21 Re.upf
Te 127.60 Te.upf
CELL_PARAMETERS angstrom
4.8498 -1.2377 5.0354
-1.7755 -4.2384 5.6082
2.6979 -7.0630 -1.7082
ATOMIC_POSITIONS angstrom
Re 0.8817 -4.8330 0.8652
Re 4.8905 -7.7061 8.0701
Re 2.9105 -7.0441 5.8730
Re 2.8617 -5.4950 3.0623
Te 3.2865 -9.5269 6.8826
Te 2.4857 -3.0122 2.0527
Te 1.0594 -8.6443 4.4745
Te 1.9177 -7.2610 1.2939
Te 4.7128 -3.8949 4.4608
Te 4.5516 -7.5098 3.8790
Te 3.8545 -5.2781 7.6414
Te 1.2206 -5.0293 5.0563
! **Formation enthalpy at 0 K**: -0.378 eV/atom
! **Total energy after the MP2020 corrections**: -0.243 hartree per atom

***

# 7
! Re2Te5 | the Materials Project database | PBE-GGA | relaxed; values from VASP
&SYSTEM
  ibrav = 0, nat = 84, ntyp = 2
/
ATOMIC_SPECIES
Re 186.21 Re.upf
Te 127.60 Te.upf
CELL_PARAMETERS angstrom
-12.4902 2.1341 -4.3698
-3.7094 -12.0544 4.7155
-3.4252 6.0371 12.7386
ATOMIC_POSITIONS angstrom
Re -5.6439 -1.8685 15.0965
Re -7.1452 -8.2069 10.9944
Re -16.5281 1.8979 9.2903
Re -3.0967 -5.7810 3.7940
Re -12.9391 -4.1624 -0.7407
Re -9.6970 -1.9274 8.4533
Re -8.7726 5.7394 9.5551
Re -11.2408 6.8380 9.4918
Re -12.4796 4.3237 2.0899
Re -6.8629 -0.2452 -0.9369
Re -8.3840 -10.7212 3.5925
Re -2.1722 1.8857 4.8958
Re -17.4526 -5.7689 8.1885
Re -9.5231 -0.0504 6.5159
Re -9.9277 -1.9558 4.6310
Re -12.7619 -3.6380 14.0212
Re -10.8522 -9.6226 3.5292
Re -6.6856 0.2792 13.8250
Re -11.7004 -1.6481 6.6612
Re -17.2196 -5.6023 5.4931
Re -7.9244 -2.2351 6.4231
Re -2.4051 1.7191 7.5912
Re -10.1017 -3.8328 6.5684
Re -13.9808 -2.0147 -2.0122
Te -15.9537 -7.5881 4.0968
Te -8.6372 0.7477 11.9135
Te -4.1461 -3.6159 2.5164
Te -3.5673 -3.0086 8.7271
Te -14.6953 1.5650 7.2671
Te -7.7613 -0.3230 4.4764
Te -6.4954 -4.4900 14.9065
Te -5.0555 1.9406 12.3916
Te -10.0450 3.0040 2.2053
Te -13.1294 0.6068 -1.8222
Te -14.7199 3.5063 10.5660
Te -8.6706 -8.0166 3.3180
Te -6.1287 -10.2028 5.1179
Te -5.9648 -5.7530 11.2332
Te -10.9876 -4.6308 1.1707
Te -15.4786 -0.2672 10.5679
Te -7.3971 -2.1266 1.0146
Te -9.5798 -6.8872 10.8790
Te -12.7064 4.1428 4.7979
Te -10.1474 -1.9380 1.8897
Te -9.3475 0.8429 -0.9954
Te -12.2277 -1.7566 12.0697
Te -7.9577 4.0856 4.1844
Te -9.4773 -1.9452 11.1946
Te -11.8634 -3.5602 8.6079
Te -15.0009 -5.2946 7.0711
Te -13.8253 -2.0434 0.7210
Te -3.7556 -0.0228 9.2571
Te -11.3069 0.2523 8.5706
Te -14.5693 -5.8238 0.6927
Te -11.5577 0.2400 4.7039
Te -13.4353 -5.2924 11.9464
Te -12.1197 -3.5671 4.7746
Te -14.4386 -1.3153 6.9319
Te -8.0670 -4.1232 8.3804
Te -6.9183 -8.0260 8.2863
Te -10.1369 -6.5938 6.6640
Te -6.1894 1.4092 1.1379
Te -13.4960 6.3196 7.9664
Te -4.6238 1.4114 6.0131
Te 0.0000 0.0000 0.0000
Te -4.9048 -7.3895 2.5183
Te -16.7285 -4.1476 10.2886
Te -12.1806 -7.6506 4.9112
Te -8.3179 -4.1355 4.5137
Te -4.9295 -5.4482 5.8172
Te -10.2773 -4.7261 14.0797
Te -7.4442 3.7674 8.1731
Te -9.4879 2.7106 6.4203
Te -13.6600 1.8698 1.8511
Te -11.8387 -8.5609 1.2090
Te -5.7995 -1.8398 12.3633
Te -5.1862 -2.5679 6.1524
Te -3.6710 3.7049 8.9875
Te -8.0998 -4.9602 0.1728
Te -2.8963 0.2644 2.7957
Te -7.7860 4.6777 11.8753
Te -10.9542 4.1334 9.7663
Te -7.5051 -0.3161 8.3097
Te -15.8692 -3.8604 3.8272
! **Formation enthalpy at 0 K**: -0.467 eV/atom
! **Total energy after the MP2020 corrections**: -0.230 hartree per atom

***

# 8
! Th3Re | the Materials Project database | PBE-GGA | relaxed; values from VASP
&SYSTEM
  ibrav = 0, nat = 8, ntyp = 2
/
ATOMIC_SPECIES
Th 232.04 Th.upf
Re 186.21 Re.upf
CELL_PARAMETERS angstrom
3.3450 -5.7936 0.0000
3.3450 5.7936 0.0000
0.0000 0.0000 5.5483
ATOMIC_POSITIONS angstrom
Th 3.3450 -3.7239 4.1612
Th 1.7925 1.0349 1.3871
Th 4.8975 1.0349 1.3871
Th 1.7925 -1.0349 4.1612
Th 3.3450 3.7239 1.3871
Th 4.8975 -1.0349 4.1612
Re 3.3450 -1.9312 1.3871
Re 3.3450 1.9312 4.1612
! **Formation enthalpy at 0 K**: 0.326 eV/atom

***

| no. | mass density (g cm⁻³) | VASP energy (eV/atom) |
| --- | --- | --- |
| 1 | 16.134 | -10.44 |
| 2 | 18.229 | -11.92 |
| 3 | 15.916 | -11.41 |
| 4 | 11.968 | -10.54 |
| 5 | 13.854 | -9.41 |
| 6 | 8.805 | -6.34 |
| 7 | 7.690 | -5.97 |
| 8 | 13.626 | -8.35 |